# 1
Density functional theory data (PBE-GGA) for a relaxed structure of NaCaCeBiO6.

It has space group P-4n2 (No. 118), with a = 5.8961 Å, b = 5.8961 Å, c = 8.6422 Å, α = 90.00°, β = 90.00° and γ = 90.00°. The asymmetric unit holds Na at (0.0000, 0.5000, 0.2500), Ca at (0.0000, 0.5000, 0.7500), Ce at (0.0000, 0.0000, 0.0000), Bi at (0.0000, 0.0000, 0.5000), O at (0.0000, 0.0000, 0.2547) and O at (0.1664, 0.3213, 0.5165).

As for the distance to the lowest polymorph of the same formula: 0.020 eV/atom. Its formation energy is -2.54 eV per atom. The volume comes out at 15.0 Å³/atom.

=====

# 2
Density functional theory data (PBE-GGA) for a relaxed structure of NaCaCeBiO6.

It has space group Pnnn (No. 48, origin choice 2), with a = 8.4095 Å, b = 8.4121 Å, c = 8.4274 Å, α = 90.00°, β = 90.00° and γ = 90.00°. The asymmetric unit holds Na at (0.2500, 0.2500, 0.2500), Na at (0.2500, 0.7500, 0.2500), Ca at (0.2500, 0.2500, 0.7500), Ca at (0.2500, 0.7500, 0.7500), Ce at (0.0000, 0.0000, 0.0000), Bi at (0.0000, 0.0000, 0.5000), O at (0.0334, 0.0591, 0.2559), O at (0.0537, 0.7444, 0.0426) and O at (0.2432, 0.0400, 0.5641).

As for the distance to the lowest polymorph of the same formula: 0.000 eV/atom. Its formation energy is -2.56 eV per atom. The volume comes out at 14.9 Å³/atom.

=====

# 3
Density functional theory data (PBE-GGA) for a relaxed structure of NaCaCeBiO6.

It has space group F-43m (No. 216), with a = 8.5959 Å, b = 8.5959 Å, c = 8.5959 Å, α = 90.00°, β = 90.00° and γ = 90.00°. The asymmetric unit holds Na at (0.0000, 0.0000, 0.0000), Ca at (0.0000, 0.0000, 0.5000), Ce at (0.2500, 0.2500, 0.2500), Bi at (0.2500, 0.2500, 0.7500) and O at (0.0049, 0.2500, 0.7500).

As for the distance to the lowest polymorph of the same formula: 0.115 eV/atom. Its formation energy is -2.45 eV per atom. The volume comes out at 15.9 Å³/atom.

=====

Q: Look up the distance to the lowest polymorph of the same formula of the second one.
A: 0.000 eV/atom

=====

Q: Among the records above, which one has the highest distance to the lowest polymorph of the same formula?
A: number 3

=====

Q: Among the records above, which one has the highest distance to the lowest polymorph of the same formula?
A: number 3